[1]
# Na6Mg16Ta8Si3S33O144, relaxed, DFT PBE
data_Na6Mg16Ta8Si3S33O144
_chemical_formula_sum 'Na6 Mg16 Ta8 Si3 S33 O144'
_cell_length_a 8.7171
_cell_length_b 15.1059
_cell_length_c 22.5867
_cell_angle_alpha 90.04
_cell_angle_beta 90.10
_cell_angle_gamma 90.02
_space_group_name_H-M_alt 'P 1'
_space_group_IT_number 1
loop_
_space_group_symop_operation_xyz
'x,y,z'
loop_
_atom_site_label
_atom_site_type_symbol
_atom_site_fract_x
_atom_site_fract_y
_atom_site_fract_z
_atom_site_occupancy
Na1 Na 0.0000 0.0000 0.0000 1
Na2 Na 0.0038 0.9937 0.4883 1
Na3 Na 0.0091 0.3457 0.6593 1
Na4 Na 0.4832 0.8358 0.1505 1
Na5 Na 0.4958 0.5038 0.5000 1
Na6 Na 0.5002 0.5028 0.9936 1
Mg1 Mg 0.0002 0.3405 0.5169 1
Mg2 Mg 0.0009 0.3436 0.8096 1
Mg3 Mg 0.0014 0.6664 0.6824 1
Mg4 Mg 0.0025 0.6760 0.1802 1
Mg5 Mg 0.4876 0.5041 0.6395 1
Mg6 Mg 0.4920 0.8373 0.0158 1
Mg7 Mg 0.4922 0.8365 0.5154 1
Mg8 Mg 0.4930 0.5008 0.8430 1
Mg9 Mg 0.4944 0.5057 0.1395 1
Mg10 Mg 0.4958 0.1702 0.1808 1
Mg11 Mg 0.4962 0.5063 0.3435 1
Mg12 Mg 0.9954 0.3393 0.0137 1
Mg13 Mg 0.9971 0.0066 0.8458 1
Mg14 Mg 0.9984 0.9985 0.3436 1
Mg15 Mg 0.9994 0.9965 0.1379 1
Mg16 Mg 0.9987 0.9991 0.6408 1
Ta1 Ta 0.0020 0.6750 0.4713 1
Ta2 Ta 0.4868 0.1766 0.6829 1
Ta3 Ta 0.4869 0.8360 0.3057 1
Ta4 Ta 0.4923 0.1743 0.4707 1
Ta5 Ta 0.4948 0.8347 0.8038 1
Ta6 Ta 0.4970 0.1726 0.9730 1
Ta7 Ta 0.9974 0.3382 0.3008 1
Ta8 Ta 0.9982 0.6732 0.9757 1
Si1 Si 0.1489 0.8223 0.0815 1
Si2 Si 0.2058 0.8462 0.4146 1
Si3 Si 0.3443 0.3236 0.5761 1
S1 S 0.1335 0.1493 0.7428 1
S2 S 0.1344 0.1937 0.4107 1
S3 S 0.1355 0.8593 0.7441 1
S4 S 0.1417 0.5238 0.0781 1
S5 S 0.1435 0.4805 0.4109 1
S6 S 0.2053 0.1735 0.0779 1
S7 S 0.2047 0.5032 0.7432 1
S8 S 0.2859 0.3396 0.9110 1
S9 S 0.2867 0.0078 0.2433 1
S10 S 0.2882 0.6725 0.5784 1
S11 S 0.3494 0.6461 0.2435 1
S12 S 0.3504 0.9815 0.9107 1
S13 S 0.3534 0.0261 0.5771 1
S14 S 0.3541 0.6909 0.9109 1
S15 S 0.3594 0.3591 0.2435 1
S16 S 0.6387 0.6908 0.4115 1
S17 S 0.6421 0.0274 0.0781 1
S18 S 0.6434 0.3166 0.0785 1
S19 S 0.6435 0.9812 0.4118 1
S20 S 0.6462 0.6454 0.7433 1
S21 S 0.6491 0.3613 0.7427 1
S22 S 0.7057 0.6695 0.0781 1
S23 S 0.7089 0.0042 0.7433 1
S24 S 0.7101 0.3396 0.4109 1
S25 S 0.7833 0.5084 0.2432 1
S26 S 0.7844 0.1689 0.5769 1
S27 S 0.7846 0.8388 0.9111 1
S28 S 0.8468 0.4823 0.9107 1
S29 S 0.8488 0.1447 0.2436 1
S30 S 0.8498 0.5270 0.5773 1
S31 S 0.8499 0.8162 0.5781 1
S32 S 0.8508 0.8582 0.2435 1
S33 S 0.8561 0.1917 0.9106 1
O1 O 0.0577 0.9144 0.0759 1
O2 O 0.0653 0.5685 0.4171 1
O3 O 0.0687 0.7648 0.0191 1
O4 O 0.0711 0.4383 0.3565 1
O5 O 0.0723 0.1062 0.4012 1
O6 O 0.0721 0.1080 0.6892 1
O7 O 0.0721 0.2355 0.4631 1
O8 O 0.0728 0.9008 0.7971 1
O9 O 0.0737 0.4380 0.0658 1
O10 O 0.0741 0.5639 0.1300 1
O11 O 0.0768 0.2396 0.7491 1
O12 O 0.0790 0.7704 0.7358 1
O13 O 0.0887 0.9247 0.4047 1
O14 O 0.1032 0.7505 0.4209 1
O15 O 0.1055 0.4228 0.7491 1
O16 O 0.1075 0.5819 0.7359 1
O17 O 0.1079 0.5836 0.0223 1
O18 O 0.1135 0.0928 0.0799 1
O19 O 0.1126 0.7576 0.1345 1
O20 O 0.1142 0.2516 0.3570 1
O21 O 0.1157 0.2522 0.0655 1
O22 O 0.1160 0.4257 0.4625 1
O23 O 0.1170 0.0955 0.7960 1
O24 O 0.1267 0.9153 0.6915 1
O25 O 0.1633 0.3188 0.5742 1
O26 O 0.1805 0.3496 0.2551 1
O27 O 0.1802 0.6587 0.5230 1
O28 O 0.1827 0.6847 0.9151 1
O29 O 0.1864 0.0224 0.5819 1
O30 O 0.1862 0.6599 0.2384 1
O31 O 0.1862 0.9941 0.9014 1
O32 O 0.1889 0.6845 0.6294 1
O33 O 0.1931 0.3511 0.9641 1
O34 O 0.1971 0.0184 0.2971 1
O35 O 0.1968 0.9861 0.1908 1
O36 O 0.1989 0.3193 0.8578 1
O37 O 0.2990 0.5157 0.7970 1
O38 O 0.3016 0.4881 0.6903 1
O39 O 0.3041 0.1855 0.1290 1
O40 O 0.3077 0.4931 0.4015 1
O41 O 0.3097 0.1852 0.4171 1
O42 O 0.3110 0.5195 0.0797 1
O43 O 0.3117 0.1561 0.7343 1
O44 O 0.3133 0.8500 0.7561 1
O45 O 0.3132 0.8544 0.4698 1
O46 O 0.3144 0.1594 0.0224 1
O47 O 0.3172 0.8247 0.3541 1
O48 O 0.3301 0.8277 0.0709 1
O49 O 0.3695 0.4152 0.1912 1
O50 O 0.3787 0.5908 0.5795 1
O51 O 0.3812 0.9277 0.9621 1
O52 O 0.3823 0.7497 0.5687 1
O53 O 0.3824 0.7498 0.8562 1
O54 O 0.3845 0.5974 0.2975 1
O55 O 0.3868 0.0843 0.5231 1
O56 O 0.3891 0.2568 0.9213 1
O57 O 0.3920 0.0815 0.2357 1
O58 O 0.3922 0.4146 0.9048 1
O59 O 0.3944 0.2548 0.6327 1
O60 O 0.3935 0.9238 0.2523 1
O61 O 0.4144 0.2696 0.2358 1
O62 O 0.4204 0.0724 0.6304 1
O63 O 0.4199 0.3991 0.2974 1
O64 O 0.4195 0.6037 0.9010 1
O65 O 0.4223 0.9402 0.8560 1
O66 O 0.4227 0.7338 0.9617 1
O67 O 0.4240 0.2631 0.5194 1
O68 O 0.4249 0.6103 0.1908 1
O69 O 0.4259 0.0712 0.9168 1
O70 O 0.4286 0.7399 0.2509 1
O71 O 0.4302 0.9424 0.5718 1
O72 O 0.4389 0.4124 0.5778 1
O73 O 0.5629 0.0704 0.4196 1
O74 O 0.5658 0.4031 0.0803 1
O75 O 0.5680 0.6134 0.6908 1
O76 O 0.5697 0.2696 0.0228 1
O77 O 0.5696 0.7406 0.7560 1
O78 O 0.5712 0.9403 0.3577 1
O79 O 0.5716 0.0685 0.1294 1
O80 O 0.5753 0.2667 0.7328 1
O81 O 0.5749 0.3935 0.7962 1
O82 O 0.5746 0.6023 0.4022 1
O83 O 0.5750 0.7318 0.4638 1
O84 O 0.5765 0.9400 0.0678 1
O85 O 0.6033 0.0806 0.7333 1
O86 O 0.6028 0.0843 0.0223 1
O87 O 0.6038 0.9248 0.7543 1
O88 O 0.6063 0.4138 0.4022 1
O89 O 0.6098 0.5888 0.0795 1
O90 O 0.6119 0.2620 0.1297 1
O91 O 0.6152 0.2544 0.4169 1
O92 O 0.6161 0.5950 0.7969 1
O93 O 0.6161 0.7496 0.0676 1
O94 O 0.6169 0.7475 0.3570 1
O95 O 0.6187 0.4130 0.6898 1
O96 O 0.6196 0.9280 0.4643 1
O97 O 0.6743 0.8490 0.2539 1
O98 O 0.6794 0.4952 0.9038 1
O99 O 0.6805 0.1818 0.9214 1
O100 O 0.6821 0.5234 0.5808 1
O101 O 0.6823 0.8263 0.8563 1
O102 O 0.6834 0.1552 0.5223 1
O103 O 0.6831 0.1784 0.6303 1
O104 O 0.6870 0.1635 0.2357 1
O105 O 0.6875 0.8245 0.5662 1
O106 O 0.6885 0.8514 0.9626 1
O107 O 0.6928 0.4843 0.1912 1
O108 O 0.6938 0.5174 0.2973 1
O109 O 0.7982 0.0203 0.7965 1
O110 O 0.7979 0.9854 0.6906 1
O111 O 0.7992 0.6792 0.1306 1
O112 O 0.8036 0.3500 0.4635 1
O113 O 0.8050 0.9991 0.4019 1
O114 O 0.8061 0.3234 0.0666 1
O115 O 0.8076 0.3241 0.3570 1
O116 O 0.8077 0.6555 0.0220 1
O117 O 0.8075 0.6649 0.7356 1
O118 O 0.8095 0.0272 0.0800 1
O119 O 0.8107 0.6822 0.4185 1
O120 O 0.8133 0.3437 0.7492 1
O121 O 0.8635 0.9148 0.1909 1
O122 O 0.8706 0.2503 0.5706 1
O123 O 0.8723 0.2445 0.8571 1
O124 O 0.8747 0.4282 0.9636 1
O125 O 0.8753 0.7547 0.9151 1
O126 O 0.8784 0.0894 0.5825 1
O127 O 0.8792 0.0953 0.2974 1
O128 O 0.8819 0.7623 0.6298 1
O129 O 0.8851 0.9145 0.9010 1
O130 O 0.8860 0.5819 0.5219 1
O131 O 0.8871 0.4230 0.2553 1
O132 O 0.8901 0.5802 0.2352 1
O133 O 0.9084 0.7687 0.2367 1
O134 O 0.9134 0.8992 0.2967 1
O135 O 0.9149 0.1006 0.9042 1
O136 O 0.9166 0.4383 0.5690 1
O137 O 0.9166 0.4448 0.8575 1
O138 O 0.9202 0.2320 0.9639 1
O139 O 0.9199 0.5675 0.6294 1
O140 O 0.9198 0.5728 0.9202 1
O141 O 0.9229 0.7701 0.5226 1
O142 O 0.9236 0.2402 0.2563 1
O143 O 0.9269 0.9037 0.5803 1
O144 O 0.9279 0.1124 0.1911 1
# * total energy: -6.63 eV/atom
# * magnetic moment: 0.001 μB/cell
# * formation energy from the elements: -2370 meV per atom


[2]
# Gd2Zr2O7, relaxed, DFT PBE
data_Gd2Zr2O7
_chemical_formula_sum 'Gd8 Zr8 O28'
_cell_length_a 7.2753
_cell_length_b 7.6574
_cell_length_c 10.7108
_cell_angle_alpha 90.00
_cell_angle_beta 90.00
_cell_angle_gamma 90.00
_space_group_name_H-M_alt 'I m m a'
_space_group_IT_number 74
_space_group_name_Hall '-I 2b 2'
loop_
_atom_site_label
_atom_site_type_symbol
_atom_site_fract_x
_atom_site_fract_y
_atom_site_fract_z
_atom_site_occupancy
Gd1 Gd 0.2500 0.2500 0.2500 1
Gd2 Gd 0.2500 0.2500 0.7500 1
Zr1 Zr 0.0000 0.0000 0.0000 1
Zr2 Zr 0.0000 0.0000 0.5000 1
O1 O 0.0000 0.2500 0.0809 1
O2 O 0.0000 0.2500 0.3831 1
O3 O 0.0000 0.2500 0.6211 1
O4 O 0.2315 0.0159 0.8793 1
# * total energy: -10.49 eV/atom
# * magnetic moment: 55.998 μB/cell
# * formation energy from the elements: -3669 meV per atom


[3]
# MgSnAs2O7, relaxed, DFT PBE
data_MgSnAs2O7
_chemical_formula_sum 'Mg4 Sn4 As8 O28'
_cell_length_a 7.6118
_cell_length_b 9.3289
_cell_length_c 9.9990
_cell_angle_alpha 90.00
_cell_angle_beta 118.43
_cell_angle_gamma 90.00
_space_group_name_H-M_alt 'P 1 21/c 1'
_space_group_IT_number 14
loop_
_space_group_symop_operation_xyz
'x,y,z'
'-x,-y,-z'
'-x,y+1/2,-z+1/2'
'x,-y+1/2,z+1/2'
loop_
_atom_site_label
_atom_site_type_symbol
_atom_site_fract_x
_atom_site_fract_y
_atom_site_fract_z
_atom_site_occupancy
Mg1 Mg 0.2316 0.0620 0.0991 1
Sn1 Sn 0.2690 0.0396 0.6292 1
As1 As 0.0703 0.7197 0.7490 1
As2 As 0.4952 0.2450 0.4409 1
O1 O 0.0403 0.5953 0.6116 1
O2 O 0.1204 0.2221 0.7061 1
O3 O 0.1348 0.6128 0.2250 1
O4 O 0.2759 0.6596 0.9234 1
O5 O 0.3641 0.2251 0.0360 1
O6 O 0.4361 0.1008 0.3211 1
O7 O 0.4595 0.6010 0.6333 1
# * total energy: -6.02 eV/atom
# * magnetic moment: 0.002 μB/cell
# * formation energy from the elements: -1950 meV per atom


[4]
# CeZn3Cu2, relaxed, DFT PBE
data_CeZn3Cu2
_chemical_formula_sum 'Ce1 Zn3 Cu2'
_cell_length_a 5.2270
_cell_length_b 5.2270
_cell_length_c 4.2244
_cell_angle_alpha 90.00
_cell_angle_beta 90.00
_cell_angle_gamma 120.00
_space_group_name_H-M_alt 'P 6/m m m'
_space_group_IT_number 191
_space_group_name_Hall '-P 6 2'
loop_
_atom_site_label
_atom_site_type_symbol
_atom_site_fract_x
_atom_site_fract_y
_atom_site_fract_z
_atom_site_occupancy
Ce1 Ce 0.0000 0.0000 0.0000 1
Zn1 Zn 0.0000 0.5000 0.5000 1
Cu1 Cu 0.3333 0.6667 0.0000 1
# * total energy: -3.24 eV/atom
# * formation energy from the elements: -260 meV per atom


[5]
# MgHAu2F11, relaxed, DFT PBE
data_MgHAu2F11
_chemical_formula_sum 'Mg4 H4 Au8 F44'
_cell_length_a 5.4590
_cell_length_b 16.0189
_cell_length_c 10.5509
_cell_angle_alpha 90.00
_cell_angle_beta 90.56
_cell_angle_gamma 90.00
_space_group_name_H-M_alt 'P 1 21/c 1'
_space_group_IT_number 14
loop_
_space_group_symop_operation_xyz
'x,y,z'
'-x,-y,-z'
'-x,y+1/2,-z+1/2'
'x,-y+1/2,z+1/2'
loop_
_atom_site_label
_atom_site_type_symbol
_atom_site_fract_x
_atom_site_fract_y
_atom_site_fract_z
_atom_site_occupancy
Mg1 Mg 0.0470 0.2337 0.1147 1
H1 H 0.0089 0.5911 0.9212 1
Au1 Au 0.2876 0.0259 0.2453 1
Au2 Au 0.4542 0.7210 0.6359 1
F1 F 0.0087 0.1493 0.5463 1
F2 F 0.0397 0.5059 0.8734 1
F3 F 0.0676 0.1153 0.1796 1
F4 F 0.1428 0.5550 0.6291 1
F5 F 0.1494 0.7378 0.7303 1
F6 F 0.2428 0.2035 0.9596 1
F7 F 0.2645 0.7064 0.4786 1
F8 F 0.3551 0.2325 0.7056 1
F9 F 0.4356 0.1065 0.3621 1
F10 F 0.4715 0.5562 0.3788 1
F11 F 0.4962 0.5615 0.8083 1
# * total energy: -3.69 eV/atom
# * formation energy from the elements: -1858 meV per atom


[6]
# PuP2H6CO8, relaxed, DFT PBE
data_PuP2H6CO8
_chemical_formula_sum 'Pu4 P8 H24 C4 O32'
_cell_length_a 5.3376
_cell_length_b 8.5734
_cell_length_c 17.0996
_cell_angle_alpha 90.00
_cell_angle_beta 104.00
_cell_angle_gamma 90.00
_space_group_name_H-M_alt 'P 1 21/c 1'
_space_group_IT_number 14
loop_
_space_group_symop_operation_xyz
'x,y,z'
'-x,-y,-z'
'-x,y+1/2,-z+1/2'
'x,-y+1/2,z+1/2'
loop_
_atom_site_label
_atom_site_type_symbol
_atom_site_fract_x
_atom_site_fract_y
_atom_site_fract_z
_atom_site_occupancy
Pu1 Pu 0.2118 0.1472 0.3635 1
P1 P 0.2445 0.1066 0.5790 1
P2 P 0.3819 0.6785 0.7556 1
H1 H 0.0580 0.0059 0.8393 1
H2 H 0.1910 0.0016 0.9335 1
H3 H 0.2146 0.7189 0.5170 1
H4 H 0.3116 0.5685 0.5621 1
H5 H 0.3260 0.1531 0.1544 1
H6 H 0.4129 0.7133 0.3866 1
C1 C 0.4442 0.2465 0.6456 1
O1 O 0.0099 0.0651 0.6131 1
O2 O 0.0837 0.0658 0.8895 1
O3 O 0.1518 0.7074 0.2273 1
O4 O 0.1597 0.1849 0.4961 1
O5 O 0.2791 0.5120 0.7643 1
O6 O 0.3318 0.6305 0.5161 1
O7 O 0.4138 0.5405 0.0768 1
O8 O 0.4376 0.1807 0.8021 1
# * total energy: -6.81 eV/atom
# * magnetic moment: 16.191 μB/cell
# * formation energy from the elements: -1883 meV per atom